No. 1
A geometry-optimized HoCu5 structure, computed with r2SCAN.

a = 4.965 Å, b = 4.965 Å, c = 4.039 Å
α = 90.00°, β = 90.00°, γ = 120.00°
Element x y z (fractional)
Ho 0.000 0.000 0.000
Cu 0.333 0.667 0.000
Cu 0.667 0.333 0.000
Cu 0.500 0.000 0.500
Cu 0.500 0.500 0.500
Cu 0.000 0.500 0.500

Results
The formation enthalpy at 0 K comes out at -0.20 eV/atom.



No. 2
A geometry-optimized Tm2TiO5 structure, computed with r2SCAN.

a = 3.623 Å, b = 10.187 Å, c = 11.126 Å
α = 90.00°, β = 90.00°, γ = 90.00°
Element x y z (fractional)
Tm 0.250 0.120 0.275
Tm 0.250 0.135 0.943
Tm 0.750 0.365 0.443
Tm 0.750 0.380 0.775
Tm 0.250 0.620 0.225
Tm 0.250 0.635 0.557
Tm 0.750 0.865 0.057
Tm 0.750 0.880 0.725
Ti 0.250 0.170 0.617
Ti 0.750 0.330 0.117
Ti 0.250 0.670 0.883
Ti 0.750 0.830 0.383
O 0.750 0.005 0.894
O 0.250 0.000 0.653
O 0.250 0.226 0.454
O 0.750 0.237 0.614
O 0.750 0.248 0.270
O 0.250 0.252 0.770
O 0.250 0.263 0.114
O 0.750 0.274 0.954
O 0.750 0.500 0.153
O 0.250 0.495 0.394
O 0.750 0.505 0.606
O 0.250 0.500 0.847
O 0.250 0.726 0.046
O 0.750 0.737 0.886
O 0.750 0.748 0.230
O 0.250 0.752 0.730
O 0.250 0.763 0.386
O 0.750 0.774 0.546
O 0.750 0.000 0.347
O 0.250 0.995 0.106

Results
The formation enthalpy at 0 K comes out at -3.81 eV/atom.



No. 3
A geometry-optimized HfAlPt structure, computed with r2SCAN.

a = 7.106 Å, b = 7.106 Å, c = 7.109 Å
α = 90.00°, β = 90.00°, γ = 120.00°
Element x y z (fractional)
Hf 0.413 0.392 0.250
Hf 0.392 0.413 0.750
Hf 0.608 0.021 0.250
Hf 0.021 0.608 0.750
Hf 0.587 0.979 0.750
Hf 0.979 0.587 0.250
Al 0.000 0.260 0.000
Al 0.260 0.000 0.500
Al 0.260 0.000 0.000
Al 0.000 0.260 0.500
Al 0.740 0.740 0.000
Al 0.740 0.740 0.500
Pt 0.333 0.667 0.470
Pt 0.667 0.333 0.530
Pt 0.000 0.000 0.250
Pt 0.667 0.333 0.970
Pt 0.333 0.667 0.030
Pt 0.000 0.000 0.750

Results
The formation enthalpy at 0 K comes out at -1.14 eV/atom.



No. 4
A geometry-optimized EuZnAu structure, computed with r2SCAN.

a = 4.636 Å, b = 7.349 Å, c = 7.856 Å
α = 90.00°, β = 90.00°, γ = 90.00°
Element x y z (fractional)
Eu 0.250 0.006 0.300
Eu 0.250 0.506 0.199
Eu 0.750 0.994 0.700
Eu 0.750 0.494 0.801
Zn 0.250 0.677 0.579
Zn 0.250 0.178 0.921
Zn 0.750 0.323 0.421
Zn 0.750 0.822 0.079
Au 0.250 0.295 0.593
Au 0.250 0.795 0.907
Au 0.750 0.705 0.407
Au 0.750 0.205 0.093

Results
The formation enthalpy at 0 K comes out at -0.67 eV/atom.



No. 5
A geometry-optimized Sc2B4Ru5 structure, computed with r2SCAN.

a = 2.990 Å, b = 8.501 Å, c = 10.023 Å
α = 90.00°, β = 90.00°, γ = 90.00°
Element x y z (fractional)
Sc 0.500 0.843 0.181
Sc 0.500 0.157 0.819
Sc 0.500 0.657 0.681
Sc 0.500 0.343 0.319
B 0.500 0.964 0.589
B 0.500 0.036 0.411
B 0.500 0.852 0.898
B 0.500 0.148 0.102
B 0.500 0.648 0.398
B 0.500 0.352 0.602
B 0.500 0.465 0.911
B 0.500 0.535 0.089
Ru 0.000 0.661 0.952
Ru 0.000 0.339 0.048
Ru 0.000 0.839 0.452
Ru 0.000 0.161 0.548
Ru 0.000 0.000 0.000
Ru 0.000 0.404 0.762
Ru 0.000 0.596 0.238
Ru 0.000 0.500 0.500
Ru 0.000 0.904 0.738
Ru 0.000 0.096 0.262

Results
The formation enthalpy at 0 K comes out at -0.67 eV/atom.



No. 6
A geometry-optimized Yb2Tl structure, computed with r2SCAN.

a = 4.870 Å, b = 6.789 Å, c = 9.742 Å
α = 90.00°, β = 90.00°, γ = 90.00°
Element x y z (fractional)
Yb 0.250 0.159 0.943
Yb 0.750 0.841 0.057
Yb 0.750 0.445 0.799
Yb 0.250 0.555 0.201
Yb 0.250 0.659 0.557
Yb 0.750 0.341 0.443
Yb 0.750 0.945 0.701
Yb 0.250 0.055 0.299
Tl 0.250 0.707 0.875
Tl 0.750 0.793 0.375
Tl 0.250 0.207 0.625
Tl 0.750 0.293 0.125

Results
The formation enthalpy at 0 K comes out at -0.36 eV/atom.



No. 7
A geometry-optimized YbSmCd2 structure, computed with r2SCAN.

a = 5.275 Å, b = 5.275 Å, c = 5.275 Å
α = 60.00°, β = 60.00°, γ = 60.00°
Element x y z (fractional)
Yb 0.000 0.000 0.000
Sm 0.500 0.500 0.500
Cd 0.750 0.750 0.750
Cd 0.250 0.250 0.250

Results
The formation enthalpy at 0 K comes out at -0.37 eV/atom.



No. 8
A geometry-optimized CoTe2O5 structure, computed with r2SCAN.

a = 5.844 Å, b = 7.233 Å, c = 10.699 Å
α = 90.00°, β = 90.00°, γ = 90.00°
Element x y z (fractional)
Co 0.750 0.500 0.563
Co 0.250 0.500 0.437
Co 0.750 0.000 0.063
Co 0.250 0.000 0.937
Te 0.000 0.633 0.847
Te 0.500 0.633 0.153
Te 0.500 0.867 0.653
Te 0.000 0.867 0.347
Te 0.000 0.133 0.653
Te 0.500 0.133 0.347
Te 0.000 0.367 0.153
Te 0.500 0.367 0.847
O 0.750 0.500 0.940
O 0.250 0.500 0.060
O 0.461 0.647 0.563
O 0.961 0.647 0.437
O 0.818 0.693 0.707
O 0.318 0.693 0.293
O 0.318 0.807 0.793
O 0.818 0.807 0.207
O 0.961 0.853 0.937
O 0.461 0.853 0.063
O 0.750 0.000 0.440
O 0.250 0.000 0.560
O 0.539 0.147 0.937
O 0.039 0.147 0.063
O 0.182 0.193 0.793
O 0.682 0.193 0.207
O 0.682 0.307 0.707
O 0.182 0.307 0.293
O 0.039 0.353 0.563
O 0.539 0.353 0.437

Results
The formation enthalpy at 0 K comes out at -1.04 eV/atom.



No. 9
A geometry-optimized NdTa3O9 structure, computed with r2SCAN.

a = 7.550 Å, b = 5.406 Å, c = 8.223 Å
α = 87.60°, β = 90.00°, γ = 90.00°
Element x y z (fractional)
Nd 0.750 0.033 0.566
Nd 0.250 0.967 0.434
Ta 0.493 0.526 0.699
Ta 0.993 0.474 0.301
Ta 0.500 0.000 0.000
Ta 0.000 0.000 0.000
Ta 0.007 0.526 0.699
Ta 0.507 0.474 0.301
O 0.750 0.441 0.688
O 0.250 0.559 0.312
O 0.750 0.088 0.016
O 0.250 0.912 0.984
O 0.250 0.649 0.660
O 0.750 0.351 0.340
O 0.038 0.266 0.533
O 0.538 0.734 0.467
O 0.556 0.847 0.787
O 0.056 0.153 0.213
O 0.444 0.153 0.213
O 0.944 0.847 0.787
O 0.050 0.318 0.879
O 0.550 0.682 0.121
O 0.950 0.682 0.121
O 0.450 0.318 0.879
O 0.462 0.266 0.533
O 0.962 0.734 0.467

Results
The formation enthalpy at 0 K comes out at -3.30 eV/atom.



No. 10
A geometry-optimized K2CrF6 structure, computed with r2SCAN.

a = 5.732 Å, b = 5.731 Å, c = 5.745 Å
α = 60.12°, β = 60.10°, γ = 59.99°
Element x y z (fractional)
K 0.250 0.250 0.250
K 0.750 0.750 0.750
Cr 0.000 0.000 0.000
F 0.775 0.225 0.226
F 0.225 0.775 0.774
F 0.225 0.775 0.226
F 0.775 0.225 0.774
F 0.225 0.225 0.774
F 0.775 0.775 0.226

Results
The formation enthalpy at 0 K comes out at -2.97 eV/atom.



No. 11
A geometry-optimized Cr2TeO6 structure, computed with r2SCAN.

a = 4.552 Å, b = 4.552 Å, c = 9.030 Å
α = 90.00°, β = 90.00°, γ = 89.95°
Element x y z (fractional)
Cr 0.000 0.000 0.335
Cr 0.500 0.500 0.164
Cr 0.500 0.500 0.835
Cr 0.000 0.000 0.666
Te 0.000 0.000 0.000
Te 0.500 0.500 0.500
O 0.300 0.300 0.000
O 0.199 0.801 0.500
O 0.801 0.199 0.500
O 0.700 0.700 0.000
O 0.693 0.692 0.664
O 0.308 0.308 0.664
O 0.692 0.692 0.337
O 0.193 0.807 0.163
O 0.807 0.193 0.163
O 0.807 0.193 0.837
O 0.308 0.308 0.337
O 0.193 0.807 0.837

Results
The formation enthalpy at 0 K comes out at -1.91 eV/atom.



No. 12
A geometry-optimized ErH2 structure, computed with r2SCAN.

a = 3.604 Å, b = 3.604 Å, c = 3.604 Å
α = 60.00°, β = 60.00°, γ = 60.00°
Element x y z (fractional)
Er 0.000 0.000 0.000
H 0.750 0.750 0.750
H 0.250 0.250 0.250

Results
The formation enthalpy at 0 K comes out at -0.80 eV/atom.



No. 13
A geometry-optimized Sr4Ta2O9 structure, computed with r2SCAN.

a = 5.893 Å, b = 5.894 Å, c = 15.722 Å
α = 90.00°, β = 89.98°, γ = 60.00°
Element x y z (fractional)
Sr 0.000 0.999 0.249
Sr 0.000 0.000 0.500
Sr 0.000 0.000 0.000
Sr 0.667 0.667 0.362
Sr 0.667 0.665 0.137
Sr 0.333 0.335 0.863
Sr 0.333 0.333 0.638
Sr 0.000 0.001 0.751
Ta 0.666 0.669 0.845
Ta 0.667 0.666 0.655
Ta 0.333 0.334 0.345
Ta 0.334 0.331 0.155
O 0.590 0.961 0.750
O 0.918 0.731 0.602
O 0.917 0.736 0.896
O 0.350 0.917 0.603
O 0.349 0.920 0.897
O 0.960 0.450 0.750
O 0.450 0.591 0.750
O 0.269 0.646 0.102
O 0.267 0.651 0.397
O 0.733 0.349 0.603
O 0.731 0.354 0.898
O 0.550 0.409 0.250
O 0.040 0.550 0.250
O 0.651 0.080 0.103
O 0.650 0.083 0.397
O 0.083 0.264 0.104
O 0.082 0.269 0.398
O 0.410 0.039 0.250

Results
The formation enthalpy at 0 K comes out at -3.26 eV/atom.



No. 14
A geometry-optimized Gd2Ni2Sn structure, computed with r2SCAN.

a = 5.520 Å, b = 5.520 Å, c = 5.520 Å
α = 134.90°, β = 118.81°, γ = 79.17°
Element x y z (fractional)
Gd 0.298 0.798 0.500
Gd 0.702 0.202 0.500
Ni 0.714 0.500 0.214
Ni 0.286 0.500 0.786
Sn 0.000 0.000 0.000

Results
The formation enthalpy at 0 K comes out at -0.55 eV/atom.



No. 15
A geometry-optimized LiNpRh2 structure, computed with r2SCAN.

a = 4.524 Å, b = 4.524 Å, c = 4.524 Å
α = 60.00°, β = 60.00°, γ = 60.00°
Element x y z (fractional)
Li 0.500 0.500 0.500
Np 0.000 0.000 0.000
Rh 0.250 0.250 0.250
Rh 0.750 0.750 0.750

Results
The formation enthalpy at 0 K comes out at -0.55 eV/atom.



No. 16
A geometry-optimized Cs4CuSi2O7 structure, computed with r2SCAN.

a = 6.543 Å, b = 7.498 Å, c = 7.509 Å
α = 106.59°, β = 110.29°, γ = 109.35°
Element x y z (fractional)
Cs 0.286 0.765 0.227
Cs 0.714 0.235 0.773
Cs 0.603 0.369 0.275
Cs 0.397 0.631 0.725
Cu 0.000 0.000 0.500
Si 0.991 0.864 0.777
Si 0.009 0.136 0.223
O 0.771 0.992 0.240
O 0.962 0.639 0.765
O 0.229 0.008 0.760
O 0.237 0.155 0.426
O 0.763 0.845 0.574
O 0.038 0.361 0.235
O 0.000 0.000 0.000

Results
The formation enthalpy at 0 K comes out at -2.25 eV/atom.